Material: LaAu3
Method: DFT, GGA-PBE
State: optimized geometry

Energy relative to the elements = -684 meV per atom
Final energy = -4.373 eV/atom

a = 6.642 Å, b = 6.642 Å, c = 4.810 Å
α = 90.00°, β = 90.00°, γ = 120.00°
Atoms (fractional coordinates):
La (0.333, 0.667, 0.250)
La (0.667, 0.333, 0.750)
Au (0.153, 0.306, 0.750)
Au (0.153, 0.847, 0.750)
Au (0.306, 0.153, 0.250)
Au (0.694, 0.847, 0.750)
Au (0.847, 0.153, 0.250)
Au (0.847, 0.694, 0.250)


Material: Y3Fe2Si3
Method: DFT, GGA-PBE
State: optimized geometry

Energy relative to the elements = -642 meV per atom
Final energy = -7.246 eV/atom

a = 5.684 Å, b = 5.684 Å, c = 13.655 Å
α = 90.00°, β = 90.00°, γ = 137.92°
Atoms (fractional coordinates):
Y (0.079, 0.921, 0.612)
Y (0.079, 0.921, 0.888)
Y (0.363, 0.637, 0.750)
Y (0.637, 0.363, 0.250)
Y (0.921, 0.079, 0.112)
Y (0.921, 0.079, 0.388)
Fe (0.215, 0.785, 0.080)
Fe (0.215, 0.785, 0.420)
Fe (0.785, 0.215, 0.580)
Fe (0.785, 0.215, 0.920)
Si (0.326, 0.674, 0.250)
Si (0.373, 0.627, 0.540)
Si (0.373, 0.627, 0.960)
Si (0.627, 0.373, 0.040)
Si (0.627, 0.373, 0.460)
Si (0.674, 0.326, 0.750)


Material: Rb3CeCl6O2
Method: DFT, GGA-PBE
State: optimized geometry

Energy relative to the elements = -1576 meV per atom
Final energy = -3.950 eV/atom

a = 12.097 Å, b = 12.097 Å, c = 17.007 Å
α = 90.00°, β = 90.00°, γ = 120.00°
Atoms (fractional coordinates):
Rb (0.000, 0.000, 0.000)
Rb (0.000, 0.000, 0.500)
Rb (0.087, 0.626, 0.115)
Rb (0.087, 0.626, 0.385)
Rb (0.333, 0.667, 0.613)
Rb (0.333, 0.667, 0.887)
Rb (0.374, 0.462, 0.115)
Rb (0.374, 0.462, 0.385)
Rb (0.462, 0.087, 0.615)
Rb (0.462, 0.087, 0.885)
Rb (0.538, 0.913, 0.115)
Rb (0.538, 0.913, 0.385)
Rb (0.626, 0.538, 0.615)
Rb (0.626, 0.538, 0.885)
Rb (0.667, 0.333, 0.113)
Rb (0.667, 0.333, 0.387)
Rb (0.913, 0.374, 0.615)
Rb (0.913, 0.374, 0.885)
Ce (0.046, 0.798, 0.750)
Ce (0.202, 0.248, 0.750)
Ce (0.248, 0.046, 0.250)
Ce (0.752, 0.954, 0.750)
Ce (0.798, 0.752, 0.250)
Ce (0.954, 0.202, 0.250)
Cl (0.037, 0.858, 0.158)
Cl (0.037, 0.858, 0.342)
Cl (0.141, 0.434, 0.008)
Cl (0.141, 0.434, 0.492)
Cl (0.142, 0.179, 0.158)
Cl (0.142, 0.179, 0.342)
Cl (0.149, 0.455, 0.250)
Cl (0.153, 0.452, 0.750)
Cl (0.179, 0.037, 0.658)
Cl (0.179, 0.037, 0.842)
Cl (0.293, 0.859, 0.008)
Cl (0.293, 0.859, 0.492)
Cl (0.299, 0.847, 0.750)
Cl (0.306, 0.851, 0.250)
Cl (0.434, 0.293, 0.508)
Cl (0.434, 0.293, 0.992)
Cl (0.452, 0.299, 0.250)
Cl (0.455, 0.306, 0.750)
Cl (0.545, 0.694, 0.250)
Cl (0.548, 0.701, 0.750)
Cl (0.566, 0.707, 0.008)
Cl (0.566, 0.707, 0.492)
Cl (0.694, 0.149, 0.750)
Cl (0.701, 0.153, 0.250)
Cl (0.707, 0.141, 0.508)
Cl (0.707, 0.141, 0.992)
Cl (0.821, 0.963, 0.158)
Cl (0.821, 0.963, 0.342)
Cl (0.847, 0.548, 0.250)
Cl (0.851, 0.545, 0.750)
Cl (0.858, 0.821, 0.658)
Cl (0.858, 0.821, 0.842)
Cl (0.859, 0.566, 0.508)
Cl (0.859, 0.566, 0.992)
Cl (0.963, 0.142, 0.658)
Cl (0.963, 0.142, 0.842)
O (0.067, 0.735, 0.641)
O (0.067, 0.735, 0.859)
O (0.265, 0.332, 0.641)
O (0.265, 0.332, 0.859)
O (0.332, 0.067, 0.141)
O (0.332, 0.067, 0.359)
O (0.668, 0.933, 0.641)
O (0.668, 0.933, 0.859)
O (0.735, 0.668, 0.141)
O (0.735, 0.668, 0.359)
O (0.933, 0.265, 0.141)
O (0.933, 0.265, 0.359)


Material: CsSm2I5
Method: DFT, GGA-PBE
State: optimized geometry

Energy relative to the elements = -1434 meV per atom
Final energy = -3.441 eV/atom

a = 9.994 Å, b = 9.173 Å, c = 13.865 Å
α = 90.00°, β = 92.46°, γ = 90.00°
Atoms (fractional coordinates):
Cs (0.006, 0.082, 0.331)
Cs (0.006, 0.418, 0.831)
Cs (0.994, 0.582, 0.169)
Cs (0.994, 0.918, 0.669)
Sm (0.277, 0.602, 0.501)
Sm (0.277, 0.898, 0.001)
Sm (0.497, 0.604, 0.185)
Sm (0.497, 0.896, 0.685)
Sm (0.503, 0.104, 0.315)
Sm (0.503, 0.396, 0.815)
Sm (0.723, 0.102, 0.999)
Sm (0.723, 0.398, 0.499)
I (0.028, 0.183, 0.064)
I (0.028, 0.317, 0.564)
I (0.283, 0.653, 0.727)
I (0.283, 0.847, 0.227)
I (0.296, 0.117, 0.809)
I (0.296, 0.383, 0.309)
I (0.303, 0.544, 0.999)
I (0.303, 0.956, 0.499)
I (0.443, 0.166, 0.088)
I (0.443, 0.334, 0.588)
I (0.557, 0.666, 0.412)
I (0.557, 0.834, 0.912)
I (0.697, 0.044, 0.501)
I (0.697, 0.456, 0.001)
I (0.704, 0.617, 0.691)
I (0.704, 0.883, 0.191)
I (0.717, 0.153, 0.773)
I (0.717, 0.347, 0.273)
I (0.972, 0.683, 0.436)
I (0.972, 0.817, 0.936)


Material: Mg2Si
Method: DFT, GGA-PBE
State: optimized geometry

Energy relative to the elements = 37 meV per atom
Final energy = -2.862 eV/atom

a = 4.459 Å, b = 8.302 Å, c = 6.123 Å
α = 90.00°, β = 90.00°, γ = 90.00°
Atoms (fractional coordinates):
Mg (0.000, 0.000, 0.000)
Mg (0.000, 0.000, 0.500)
Mg (0.000, 0.321, 0.250)
Mg (0.000, 0.679, 0.750)
Mg (0.500, 0.179, 0.750)
Mg (0.500, 0.500, 0.000)
Mg (0.500, 0.500, 0.500)
Mg (0.500, 0.821, 0.250)
Si (0.000, 0.348, 0.750)
Si (0.000, 0.652, 0.250)
Si (0.500, 0.152, 0.250)
Si (0.500, 0.848, 0.750)


Material: MgAl2
Method: DFT, GGA-PBE
State: optimized geometry

Energy relative to the elements = 20 meV per atom
Final energy = -3.011 eV/atom

a = 13.388 Å, b = 13.388 Å, c = 13.388 Å
α = 162.32°, β = 162.32°, γ = 25.11°
Atoms (fractional coordinates):
Mg (0.293, 0.543, 0.750)
Mg (0.457, 0.707, 0.750)
Mg (0.543, 0.293, 0.250)
Mg (0.707, 0.457, 0.250)
Al (0.045, 0.795, 0.250)
Al (0.125, 0.375, 0.750)
Al (0.205, 0.955, 0.250)
Al (0.375, 0.125, 0.250)
Al (0.625, 0.875, 0.750)
Al (0.795, 0.045, 0.750)
Al (0.875, 0.625, 0.250)
Al (0.955, 0.205, 0.750)